(1)
The following is a PBE calculation of crystalline Ti3Bi4O12 at its relaxed geometry, from Materials Project.

Properties
Formation energy from the elements (eV/atom): -2.510
E (eV for the cell shown): -138.07
Total magnetic moment (μB/atom): 0.000
ρ (g/cm3): 7.75
Space group: C2/m

Cell and atoms, written as POSCAR:
```
Ti3Bi4O12
1.0
2.760 -2.705 0.000
2.760 2.705 0.000
-2.393 0.000 16.809
Ti Bi O
3 4 12
Cartesian
0.000 0.000 0.000
0.132 0.000 4.321
2.996 0.000 12.489
0.154 0.000 9.691
-0.086 0.000 14.583
3.214 0.000 2.227
2.974 0.000 7.119
1.380 1.352 0.000
-0.090 0.000 1.992
1.364 1.400 3.910
0.108 0.000 6.106
1.564 1.351 8.405
1.764 1.400 12.899
1.380 -1.352 0.000
1.364 -1.400 3.910
1.564 -1.351 8.405
3.020 0.000 10.703
1.764 -1.400 12.899
3.218 0.000 14.818
```

=====

(2)
The following is a PBE calculation of crystalline Ti2Bi2O7 at its relaxed geometry, from Materials Project.

Properties
Formation energy from the elements (eV/atom): -2.635
E (eV for the cell shown): -164.77
Total magnetic moment (μB/atom): 0.000
ρ (g/cm3): 7.36
Space group: Fd-3m

Cell and atoms, written as POSCAR:
```
Ti2Bi2O7
1.0
0.000 5.207 5.207
5.207 0.000 5.207
5.207 5.207 0.000
Ti Bi O
4 4 14
Cartesian
0.000 0.000 0.000
2.603 2.603 0.000
2.603 0.000 2.603
0.000 2.603 2.603
5.207 2.603 2.603
2.603 5.207 2.603
2.603 2.603 5.207
5.207 5.207 5.207
3.905 3.905 0.769
3.905 0.769 3.905
7.041 3.905 3.905
6.508 6.508 3.372
6.508 3.372 6.508
9.644 6.508 6.508
3.905 3.905 3.905
6.508 6.508 6.508
0.769 3.905 3.905
3.905 7.041 3.905
3.905 3.905 7.041
3.372 6.508 6.508
6.508 9.644 6.508
6.508 6.508 9.644
```

=====

(3)
The following is a PBE calculation of crystalline Y4Ti6Bi2O21 at its relaxed geometry, from Materials Project.

Properties
Formation energy from the elements (eV/atom): -3.379
E (eV for the cell shown): -564.00
Total magnetic moment (μB/atom): 0.000
ρ (g/cm3): 5.72
Space group: C2/m

Cell and atoms, written as POSCAR:
```
Y4Ti6Bi2O21
1.0
15.805 -3.640 0.000
15.805 3.640 0.000
-1.623 0.000 7.049
Y Ti Bi O
8 12 4 42
Cartesian
7.903 1.820 0.000
12.082 1.830 4.698
4.191 0.000 4.701
17.905 1.830 2.350
7.903 -1.820 0.000
12.082 -1.830 4.698
25.796 0.000 2.348
17.905 -1.830 2.350
0.000 0.000 0.000
-0.812 0.000 3.524
7.091 1.820 3.524
12.887 1.825 1.184
9.991 0.000 2.351
9.186 0.000 5.874
17.100 1.825 5.864
7.091 -1.820 3.524
12.887 -1.825 1.184
20.801 0.000 1.175
19.996 0.000 4.697
17.100 -1.825 5.864
5.001 0.000 1.175
15.805 0.000 0.000
14.994 0.000 3.524
24.986 0.000 5.873
0.385 0.000 1.948
8.673 1.484 2.380
7.994 1.466 5.253
2.069 0.000 6.036
3.293 0.000 2.699
14.465 2.180 0.029
13.805 2.178 2.901
11.314 1.486 2.320
10.371 1.466 6.492
5.088 0.000 6.705
6.310 0.000 3.361
16.182 2.178 4.147
15.522 2.180 7.019
9.611 0.000 0.404
10.371 0.000 4.293
18.673 1.486 4.728
19.617 1.466 0.556
13.648 0.000 1.353
13.244 0.000 4.970
7.994 -1.466 5.253
8.673 -1.484 2.380
21.314 1.484 4.669
21.993 1.466 1.795
16.743 0.000 2.079
16.339 0.000 5.696
10.371 -1.466 6.492
11.314 -1.486 2.320
19.616 0.000 2.756
20.376 0.000 6.644
14.465 -2.180 0.029
13.805 -2.178 2.901
23.678 0.000 3.687
24.900 0.000 0.343
19.617 -1.466 0.556
18.673 -1.486 4.728
16.182 -2.178 4.147
15.522 -2.180 7.019
26.694 0.000 4.350
27.918 0.000 1.012
21.993 -1.466 1.795
21.314 -1.484 4.669
29.602 0.000 5.100
```

=====

(4)
The following is a PBE calculation of crystalline TiZnBi2O6 at its relaxed geometry, from Materials Project.

Properties
Formation energy from the elements (eV/atom): -2.198
E (eV for the cell shown): -64.48
Total magnetic moment (μB/atom): 0.000
ρ (g/cm3): 6.48
Space group: Amm2

Cell and atoms, written as POSCAR:
```
TiZnBi2O6
1.0
7.161 0.000 0.000
0.000 3.093 3.628
0.000 -3.093 3.628
Ti Zn Bi O
1 1 2 6
Cartesian
0.000 0.000 0.000
3.580 0.000 7.244
1.871 0.000 2.999
5.290 0.000 2.999
0.000 -1.622 2.589
0.000 1.622 2.589
1.708 0.000 0.835
3.580 -1.395 2.645
3.580 1.395 2.645
5.452 0.000 0.835
```

=====

(5)
The following is a PBE calculation of crystalline TiZnBi2O6 at its relaxed geometry, from Materials Project.

Properties
Formation energy from the elements (eV/atom): -2.211
E (eV for the cell shown): -64.61
Total magnetic moment (μB/atom): 0.000
ρ (g/cm3): 7.13
Space group: Cm

Cell and atoms, written as POSCAR:
```
TiZnBi2O6
1.0
2.723 -2.693 0.000
2.723 2.693 0.000
-0.346 0.000 9.956
Ti Zn Bi O
1 1 2 6
Cartesian
0.000 0.000 0.000
5.229 0.000 4.832
2.499 0.000 6.820
3.036 0.000 2.153
3.978 1.303 0.586
3.851 1.345 5.633
5.106 0.000 2.851
3.978 -1.303 0.586
3.851 -1.345 5.633
5.149 0.000 8.248
```

=====

(6)
The following is a PBE calculation of crystalline TiZnBiO5 at its relaxed geometry, from Materials Project.

Properties
Formation energy from the elements (eV/atom): -2.229
E (eV for the cell shown): -208.73
Total magnetic moment (μB/atom): 0.000
ρ (g/cm3): 5.72
Space group: P2_1/c

Cell and atoms, written as POSCAR:
```
TiZnBiO5
1.0
5.310 0.000 0.000
0.000 10.893 0.000
-2.629 0.000 8.074
Ti Zn Bi O
4 4 4 20
Cartesian
-0.440 1.285 3.575
-1.755 4.161 7.612
4.436 6.732 0.462
3.121 9.608 4.499
1.613 6.557 2.768
0.299 9.782 6.805
2.382 1.111 1.269
1.068 4.336 5.306
-1.493 6.587 5.328
-0.178 9.753 1.291
2.859 1.141 6.783
4.174 4.306 2.746
-0.989 0.502 5.200
0.326 4.945 1.163
0.482 7.591 1.474
-0.833 8.749 5.511
0.020 5.817 3.900
-1.295 10.523 7.937
1.541 2.512 0.044
0.226 2.934 4.081
0.865 0.486 2.524
-0.449 4.960 6.562
3.131 5.933 1.513
1.816 10.407 5.550
2.455 7.959 3.993
1.141 8.381 8.031
3.976 0.370 0.137
2.661 5.076 4.174
3.514 2.144 2.563
2.199 3.302 6.600
2.355 5.949 6.911
3.670 10.391 2.874
```

=====

(7)
The following is a PBE calculation of crystalline TiZnBiO5 at its relaxed geometry, from Materials Project.

Properties
Formation energy from the elements (eV/atom): -2.233
E (eV for the cell shown): -417.70
Total magnetic moment (μB/atom): 0.000
ρ (g/cm3): 6.10
Space group: Pbca

Cell and atoms, written as POSCAR:
```
TiZnBiO5
1.0
5.188 0.000 0.000
0.000 15.667 0.000
0.000 0.000 10.786
Ti Zn Bi O
8 8 8 40
Cartesian
0.558 1.718 1.646
0.558 6.115 7.040
2.035 9.552 1.646
2.035 13.948 7.040
3.152 1.718 3.747
3.152 6.115 9.140
4.629 9.552 3.747
4.629 13.948 9.140
0.185 8.229 9.350
0.185 15.271 3.956
2.408 0.396 9.350
2.408 7.437 3.956
2.779 8.229 6.830
2.779 15.271 1.437
5.002 0.396 6.830
5.002 7.437 1.437
0.914 3.400 9.278
0.914 4.434 3.885
1.680 11.233 9.278
1.680 12.267 3.885
3.508 3.400 6.902
3.508 4.434 1.509
4.274 11.233 6.902
4.274 12.267 1.509
0.051 2.220 7.518
0.051 5.613 2.125
0.294 10.784 4.996
0.294 12.716 10.389
0.673 10.895 2.314
0.673 12.604 7.707
0.924 8.506 3.157
0.924 14.994 8.550
1.053 8.701 0.399
1.053 14.799 5.792
1.541 0.867 0.399
1.541 6.966 5.792
1.670 0.672 3.157
1.670 7.161 8.550
1.920 3.062 2.314
1.920 4.771 7.707
2.300 2.951 4.996
2.300 4.883 10.389
2.543 10.054 7.518
2.543 13.446 2.125
2.645 2.220 8.662
2.645 5.613 3.268
2.888 10.784 0.397
2.888 12.716 5.790
3.267 10.895 3.079
3.267 12.604 8.472
3.518 8.506 2.236
3.518 14.994 7.630
3.646 8.701 4.995
3.646 14.799 10.388
4.135 0.867 4.995
4.135 6.966 10.388
4.264 0.672 2.236
4.264 7.161 7.630
4.514 3.062 3.079
4.514 4.771 8.472
4.894 2.951 0.397
4.894 4.883 5.790
5.137 10.054 8.662
5.137 13.446 3.268
```

=====

(8)
The following is a PBE calculation of crystalline TiZnBi2O6 at its relaxed geometry, from Materials Project.

Properties
Formation energy from the elements (eV/atom): -2.183
E (eV for the cell shown): -64.33
Largest piezoelectric modulus (C/m²): 1.993
Total magnetic moment (μB/atom): 0.000
ρ (g/cm3): 7.31
Space group: P4mm

Cell and atoms, written as POSCAR:
```
TiZnBi2O6
1.0
3.782 0.000 0.000
0.000 3.782 0.000
0.000 0.000 9.956
Ti Zn Bi O
1 1 2 6
Cartesian
0.000 0.000 0.000
0.000 0.000 4.717
1.891 1.891 2.109
1.891 1.891 6.771
0.000 0.000 2.749
0.000 0.000 8.246
0.000 1.891 0.613
0.000 1.891 5.574
1.891 0.000 0.613
1.891 0.000 5.574
```

=====

Question: Number 3 is which compound?
Answer: Y4Ti6Bi2O21

=====

Question: What is the total magnetic moment in the seventh record?
Answer: 0.000 μB/atom